1.
# CrTe2 | the Materials Project | PBE-GGA | relaxed
data_CrTe2
_chemical_formula_sum 'Cr1 Te2'
_cell_length_a 3.8468
_cell_length_b 3.8468
_cell_length_c 6.1677
_cell_angle_alpha 90.00
_cell_angle_beta 90.00
_cell_angle_gamma 120.00
_space_group_name_H-M_alt 'P -3 m 1'
_space_group_IT_number 164
_space_group_name_Hall '-P 3 2"'
loop_
_atom_site_label
_atom_site_type_symbol
_atom_site_fract_x
_atom_site_fract_y
_atom_site_fract_z
Cr1 Cr 0.0000 0.0000 0.0000
Te1 Te 0.3333 0.6667 0.2517
# E   -5.509 eV/atom
# ρ   6.45 g/cm³

2.
# Cr3Te5 | the Materials Project | PBE-GGA | relaxed
data_Cr3Te5
_chemical_formula_sum 'Cr3 Te5'
_cell_length_a 3.9891
_cell_length_b 3.9891
_cell_length_c 14.8258
_cell_angle_alpha 90.00
_cell_angle_beta 90.00
_cell_angle_gamma 120.00
_space_group_name_H-M_alt 'P -3 m 1'
_space_group_IT_number 164
_space_group_name_Hall '-P 3 2"'
loop_
_atom_site_label
_atom_site_type_symbol
_atom_site_fract_x
_atom_site_fract_y
_atom_site_fract_z
Cr1 Cr 0.0000 0.0000 0.0000
Cr2 Cr 0.0000 0.0000 0.2178
Te1 Te 0.0000 0.0000 0.5000
Te2 Te 0.3333 0.6667 0.3159
Te3 Te 0.3333 0.6667 0.8925
# E   -5.548 eV/atom
# ρ   6.45 g/cm³

3.
# Ti4CrTe8 | the Materials Project | PBE-GGA | relaxed
data_Ti4CrTe8
_chemical_formula_sum 'Ti16 Cr4 Te32'
_cell_length_a 13.2915
_cell_length_b 7.6511
_cell_length_c 14.5700
_cell_angle_alpha 90.00
_cell_angle_beta 116.80
_cell_angle_gamma 90.00
_space_group_name_H-M_alt 'C 1 2/c 1'
_space_group_IT_number 15
_space_group_name_Hall '-C 2yc'
loop_
_atom_site_label
_atom_site_type_symbol
_atom_site_fract_x
_atom_site_fract_y
_atom_site_fract_z
Ti1 Ti 0.1280 0.1170 0.0001
Ti2 Ti 0.1327 0.3673 0.5003
Cr1 Cr 0.0000 0.1290 0.7500
Te1 Te 0.0206 0.3775 0.6242
Te2 Te 0.0243 0.1289 0.1301
Te3 Te 0.2243 0.3749 0.3650
Te4 Te 0.2291 0.1254 0.8690
# E   -5.729 eV/atom
# ρ   6.35 g/cm³

4.
# Ti4CrTe8 | the Materials Project | PBE-GGA | relaxed
data_Ti4CrTe8
_chemical_formula_sum 'Ti8 Cr2 Te16'
_cell_length_a 13.1941
_cell_length_b 7.6924
_cell_length_c 9.3154
_cell_angle_alpha 90.00
_cell_angle_beta 134.77
_cell_angle_gamma 90.00
_space_group_name_H-M_alt 'C 1 2/m 1'
_space_group_IT_number 12
_space_group_name_Hall '-C 2y'
loop_
_atom_site_label
_atom_site_type_symbol
_atom_site_fract_x
_atom_site_fract_y
_atom_site_fract_z
Ti1 Ti 0.0000 0.2351 0.0000
Ti2 Ti 0.2483 0.0000 0.4910
Cr1 Cr 0.0000 0.5000 0.5000
Te1 Te 0.0437 0.5000 0.8372
Te2 Te 0.0482 0.0000 0.8316
Te3 Te 0.2049 0.2445 0.6693
# E   -5.728 eV/atom
# ρ   6.26 g/cm³

no.,DFT formation energy (meV per atom)
1,-477
2,-227
3,-882
4,-881